Record 1
Computed, not measured: an optimized crystal structure of Na2YTa3Si2P4O24 at the PBE level of DFT.

Values from the calculation:
Crystal system: triclinic
Space-group type: P1, No. 1

Cell: 8.8893 8.8975 23.1301 Å, 90.08 90.03 119.96°
Closest atoms and distances in Å follow each position.
Fractional positions:
Na (0.0000, 0.0000, 0.0000)  6 O 2.56-2.78
Na (0.0015, 0.0001, 0.5050)  6 O 2.59-2.66
Na (0.3294, 0.6659, 0.1679)  3 O 2.38-2.56
Na (0.3337, 0.6662, 0.6730)  6 O 2.56-2.72
Na (0.6623, 0.3297, 0.3392)  6 O 2.61-2.79
Na (0.6674, 0.3291, 0.8366)  6 O 2.63-2.74
Y (0.0043, 0.0016, 0.3591)  6 O 2.11-2.28
Y (0.3316, 0.6667, 0.0290)  6 O 2.15-2.26
Y (0.9983, 0.0011, 0.8540)  6 O 2.11-2.24
Ta (0.0034, 0.9961, 0.1508)  6 O 1.91-2.08
Ta (0.3331, 0.6686, 0.3172)  6 O 1.93-2.05
Ta (0.3340, 0.6666, 0.5298)  6 O 1.94-2.01
Ta (0.3365, 0.6696, 0.8182)  6 O 1.95-2.07
Ta (0.6662, 0.3326, 0.4861)  6 O 1.91-2.11
Ta (0.6668, 0.3310, 0.6894)  6 O 1.93-2.03
Ta (0.6693, 0.3339, 0.1918)  6 O 1.89-2.01
Ta (0.6707, 0.3373, 0.9831)  6 O 1.92-2.06
Ta (0.9955, 0.9984, 0.6503)  6 O 1.94-2.07
Si (0.2946, 0.0009, 0.2549)  4 O 1.58-1.67
Si (0.3775, 0.0476, 0.5879)  4 O 1.62-1.65
Si (0.6698, 0.6205, 0.5883)  4 O 1.61-1.65
Si (0.7047, 0.0010, 0.7541)  4 O 1.57-1.67
Si (0.9516, 0.6225, 0.0897)  4 O 1.58-1.67
Si (0.9527, 0.3309, 0.5879)  4 O 1.62-1.65
P (0.0001, 0.7044, 0.7532)  4 O 1.50-1.58
P (0.0013, 0.2924, 0.2539)  4 O 1.51-1.57
P (0.0411, 0.3777, 0.9223)  4 O 1.50-1.60
P (0.0463, 0.6582, 0.4238)  4 O 1.51-1.58
P (0.2954, 0.2951, 0.7533)  4 O 1.50-1.57
P (0.3390, 0.9608, 0.9226)  4 O 1.50-1.61
P (0.3411, 0.3876, 0.4236)  4 O 1.52-1.57
P (0.3806, 0.3257, 0.0898)  4 O 1.50-1.57
P (0.6128, 0.9529, 0.4238)  4 O 1.51-1.59
P (0.6218, 0.6610, 0.9226)  4 O 1.50-1.60
P (0.6763, 0.0547, 0.0898)  4 O 1.50-1.57
P (0.7069, 0.7074, 0.2538)  4 O 1.51-1.57
O (0.0109, 0.1954, 0.9170)  1 P 1.51
O (0.0270, 0.8179, 0.4213)  1 P 1.51
O (0.0289, 0.2024, 0.2006)  1 P 1.55
O (0.0316, 0.8255, 0.7002)  1 P 1.56
O (0.1318, 0.4945, 0.8674)  1 P 1.58
O (0.1388, 0.6389, 0.3680)  1 P 1.58
O (0.1398, 0.6456, 0.0919)  1 Si 1.58
O (0.1428, 0.4592, 0.9764)  1 P 1.50
O (0.1447, 0.5014, 0.5780)  1 Si 1.64
O (0.1593, 0.6749, 0.4767)  1 P 1.54
O (0.1651, 0.6843, 0.7615)  1 P 1.58
O (0.1649, 0.9702, 0.1985)  1 Si 1.67
O (0.1672, 0.4757, 0.2626)  1 P 1.57
O (0.1749, 0.2025, 0.7003)  1 P 1.56
O (0.1795, 0.2096, 0.4222)  1 P 1.52
O (0.1873, 0.0255, 0.5982)  1 Si 1.62
O (0.1873, 0.9908, 0.9156)  1 P 1.51
O (0.1973, 0.1595, 0.0979)  1 P 1.57
O (0.2257, 0.0424, 0.3122)  1 Si 1.58
O (0.2325, 0.1912, 0.8079)  1 P 1.50
O (0.3093, 0.4773, 0.7618)  1 P 1.57
O (0.3123, 0.8242, 0.2638)  1 Si 1.67
O (0.3168, 0.8570, 0.9761)  1 P 1.50
O (0.3265, 0.4851, 0.4768)  1 P 1.55
O (0.3581, 0.8562, 0.5778)  1 Si 1.64
O (0.3608, 0.4975, 0.3680)  1 P 1.57
O (0.3616, 0.8643, 0.8674)  1 P 1.61
O (0.3638, 0.4855, 0.0892)  1 P 1.50
O (0.4651, 0.2984, 0.0345)  1 P 1.56
O (0.4718, 0.1688, 0.5307)  1 Si 1.65
O (0.4808, 0.3263, 0.7416)  1 P 1.55
O (0.4889, 0.1619, 0.2418)  1 Si 1.63
O (0.4907, 0.3388, 0.1433)  1 P 1.54
O (0.5003, 0.6442, 0.5779)  1 Si 1.64
O (0.5012, 0.8603, 0.3679)  1 P 1.59
O (0.5015, 0.1371, 0.6434)  1 Si 1.62
O (0.5031, 0.6371, 0.8676)  1 P 1.60
O (0.5093, 0.3744, 0.4287)  1 P 1.56
O (0.5102, 0.8234, 0.7630)  1 Si 1.67
O (0.5120, 0.1414, 0.9282)  1 P 1.58
O (0.5157, 0.8409, 0.4767)  1 P 1.54
O (0.5193, 0.8761, 0.0889)  1 P 1.50
O (0.5221, 0.6863, 0.2621)  1 P 1.57
O (0.5424, 0.6839, 0.9766)  1 P 1.50
O (0.6237, 0.1328, 0.4283)  1 P 1.56
O (0.6280, 0.4855, 0.9280)  1 P 1.59
O (0.6356, 0.5000, 0.6441)  1 Si 1.61
O (0.6571, 0.1487, 0.1433)  1 P 1.55
O (0.6743, 0.1652, 0.7419)  1 Si 1.64
O (0.6775, 0.5227, 0.2420)  1 P 1.55
O (0.6966, 0.1653, 0.0347)  1 P 1.57
O (0.6977, 0.5277, 0.5307)  1 Si 1.65
O (0.7910, 0.9708, 0.4211)  1 P 1.51
O (0.7965, 0.8280, 0.2006)  1 P 1.56
O (0.8039, 0.9705, 0.6981)  1 Si 1.66
O (0.8052, 0.8096, 0.9157)  1 P 1.51
O (0.8120, 0.0429, 0.8118)  1 Si 1.57
O (0.8126, 0.7741, 0.3084)  1 P 1.51
O (0.8285, 0.5249, 0.0319)  1 Si 1.67
O (0.8312, 0.3016, 0.5306)  1 Si 1.65
O (0.8410, 0.8116, 0.5974)  1 Si 1.63
O (0.8422, 0.5216, 0.7417)  1 P 1.55
O (0.8458, 0.0459, 0.0981)  1 P 1.56
O (0.8455, 0.5044, 0.1448)  1 Si 1.62
O (0.8470, 0.3244, 0.2424)  1 P 1.56
O (0.8563, 0.3659, 0.9287)  1 P 1.60
O (0.8640, 0.3647, 0.6437)  1 Si 1.62
O (0.8664, 0.4893, 0.4283)  1 P 1.56
O (0.9587, 0.8122, 0.0977)  1 Si 1.67
O (0.9597, 0.1869, 0.3087)  1 P 1.51
O (0.9638, 0.7704, 0.8080)  1 P 1.50
O (0.9762, 0.1624, 0.5979)  1 Si 1.63



Record 2
Computed, not measured: an optimized crystal structure of Na6Ta5ZnSi6P3O36 at the PBE level of DFT.

Values from the calculation:
Crystal system: monoclinic
Space-group type: Cc, No. 9

Cell: 8.9645 8.9645 22.6079 Å, 90.28 90.28 60.09°
Closest atoms and distances in Å follow each position.
Fractional positions:
Na (0.0052, 0.9948, 0.5000)  4 O 2.32-2.60
Na (0.3045, 0.7103, 0.9121)  4 O 2.30-2.49
Na (0.3269, 0.3366, 0.6689)  6 O 2.53-2.72
Na (0.3366, 0.3269, 0.1689)  6 O 2.53-2.72
Na (0.3493, 0.9832, 0.7565)  6 O 2.45-2.70
Na (0.6382, 0.6761, 0.3335)  6 O 2.51-2.69
Na (0.6761, 0.6382, 0.8335)  6 O 2.51-2.69
Na (0.7057, 0.9548, 0.9112)  4 O 2.29-2.47
Na (0.7103, 0.3045, 0.4121)  4 O 2.30-2.49
Na (0.9548, 0.7057, 0.4112)  4 O 2.29-2.47
Na (0.9832, 0.3493, 0.2565)  6 O 2.45-2.70
Na (0.9948, 0.0052, 0.0000)  4 O 2.32-2.60
Ta (0.3198, 0.3217, 0.5284)  6 O 1.92-2.05
Ta (0.3217, 0.3198, 0.0284)  6 O 1.92-2.05
Ta (0.3237, 0.3259, 0.3140)  6 O 1.96-2.04
Ta (0.3259, 0.3237, 0.8140)  6 O 1.96-2.04
Ta (0.6567, 0.6576, 0.9843)  6 O 1.92-2.11
Ta (0.6576, 0.6567, 0.4843)  6 O 1.92-2.11
Ta (0.6576, 0.6579, 0.1898)  6 O 1.93-2.06
Ta (0.6579, 0.6576, 0.6898)  6 O 1.93-2.06
Ta (0.9876, 0.9880, 0.1487)  6 O 1.95-2.10
Ta (0.9880, 0.9876, 0.6487)  6 O 1.95-2.10
Zn (0.9957, 0.9967, 0.3505)  4 O 2.01-2.16
Zn (0.9967, 0.9957, 0.8505)  4 O 2.01-2.16
Si (0.0353, 0.3189, 0.4202)  4 O 1.60-1.69
Si (0.2810, 0.7007, 0.7557)  4 O 1.60-1.66
Si (0.3189, 0.0353, 0.9202)  4 O 1.60-1.69
Si (0.3664, 0.9452, 0.5877)  4 O 1.62-1.65
Si (0.3668, 0.6603, 0.0863)  4 O 1.62-1.66
Si (0.6603, 0.3668, 0.5863)  4 O 1.62-1.66
Si (0.6598, 0.9452, 0.0867)  4 O 1.62-1.65
Si (0.7007, 0.2810, 0.2557)  4 O 1.60-1.66
Si (0.7081, 0.9872, 0.7577)  4 O 1.59-1.70
Si (0.9452, 0.3664, 0.0877)  4 O 1.62-1.65
Si (0.9452, 0.6598, 0.5867)  4 O 1.62-1.65
Si (0.9872, 0.7081, 0.2577)  4 O 1.59-1.70
P (0.0360, 0.6038, 0.9219)  4 O 1.52-1.56
P (0.2823, 0.9861, 0.2548)  4 O 1.50-1.59
P (0.3268, 0.6088, 0.4219)  4 O 1.50-1.58
P (0.6038, 0.0360, 0.4219)  4 O 1.52-1.56
P (0.6088, 0.3268, 0.9219)  4 O 1.50-1.58
P (0.9861, 0.2823, 0.7548)  4 O 1.50-1.59
O (0.0059, 0.1571, 0.4202)  1 Si 1.60
O (0.0142, 0.7837, 0.9212)  1 P 1.52
O (0.0188, 0.8004, 0.1998)  1 Si 1.65
O (0.0247, 0.1630, 0.7001)  1 P 1.55
O (0.1278, 0.3510, 0.3615)  1 Si 1.67
O (0.1283, 0.4951, 0.8658)  1 P 1.56
O (0.1340, 0.3515, 0.0795)  1 Si 1.64
O (0.1368, 0.4909, 0.5796)  1 Si 1.64
O (0.1495, 0.5097, 0.9762)  1 P 1.55
O (0.1540, 0.3133, 0.4768)  1 Si 1.64
O (0.1562, 0.2959, 0.7607)  1 P 1.59
O (0.1571, 0.0059, 0.9202)  1 Si 1.60
O (0.1568, 0.8024, 0.6987)  1 Si 1.65
O (0.1594, 0.5060, 0.2612)  1 Si 1.70
O (0.1630, 0.0247, 0.2001)  1 P 1.55
O (0.1660, 0.7821, 0.4192)  1 P 1.50
O (0.1766, 0.9677, 0.5952)  1 Si 1.62
O (0.1804, 0.8314, 0.0953)  1 Si 1.62
O (0.2146, 0.9535, 0.3111)  1 P 1.50
O (0.2226, 0.8132, 0.8153)  1 Si 1.60
O (0.2959, 0.1562, 0.2607)  1 P 1.59
O (0.2966, 0.5096, 0.7612)  1 Si 1.65
O (0.3133, 0.1540, 0.9768)  1 Si 1.64
O (0.3155, 0.5089, 0.4759)  1 P 1.55
O (0.3483, 0.4897, 0.0777)  1 Si 1.63
O (0.3510, 0.1278, 0.8615)  1 Si 1.67
O (0.3515, 0.1340, 0.5795)  1 Si 1.64
O (0.3555, 0.4906, 0.3660)  1 P 1.58
O (0.4598, 0.6859, 0.0269)  1 Si 1.66
O (0.4655, 0.8226, 0.5301)  1 Si 1.65
O (0.4669, 0.8354, 0.2438)  1 P 1.55
O (0.4758, 0.6724, 0.7434)  1 Si 1.66
O (0.4854, 0.8576, 0.6462)  1 Si 1.63
O (0.4897, 0.3483, 0.5777)  1 Si 1.63
O (0.4909, 0.1368, 0.0796)  1 Si 1.64
O (0.4906, 0.3555, 0.8660)  1 P 1.58
O (0.4927, 0.6307, 0.1423)  1 Si 1.62
O (0.4951, 0.1283, 0.3658)  1 P 1.56
O (0.4978, 0.6157, 0.4253)  1 P 1.57
O (0.5043, 0.8447, 0.9249)  1 Si 1.69
O (0.5060, 0.1594, 0.7612)  1 Si 1.70
O (0.5089, 0.3155, 0.9759)  1 P 1.55
O (0.5097, 0.1495, 0.4762)  1 P 1.55
O (0.5096, 0.2966, 0.2612)  1 Si 1.65
O (0.6157, 0.4978, 0.9253)  1 P 1.57
O (0.6185, 0.8551, 0.4254)  1 P 1.56
O (0.6307, 0.4927, 0.6423)  1 Si 1.62
O (0.6322, 0.8506, 0.1429)  1 Si 1.62
O (0.6699, 0.8262, 0.7460)  1 Si 1.66
O (0.6724, 0.4758, 0.2434)  1 Si 1.66
O (0.6847, 0.8284, 0.0269)  1 Si 1.65
O (0.6859, 0.4598, 0.5269)  1 Si 1.66
O (0.7821, 0.1660, 0.9192)  1 P 1.50
O (0.7837, 0.0142, 0.4212)  1 P 1.52
O (0.8004, 0.0188, 0.6998)  1 Si 1.65
O (0.8024, 0.1568, 0.1987)  1 Si 1.65
O (0.8077, 0.9578, 0.8189)  1 Si 1.59
O (0.8132, 0.2226, 0.3153)  1 Si 1.60
O (0.8226, 0.4655, 0.0301)  1 Si 1.65
O (0.8262, 0.6699, 0.2460)  1 Si 1.66
O (0.8284, 0.6847, 0.5269)  1 Si 1.65
O (0.8314, 0.1804, 0.5953)  1 Si 1.62
O (0.8315, 0.9625, 0.0940)  1 Si 1.63
O (0.8354, 0.4669, 0.7438)  1 P 1.55
O (0.8447, 0.5043, 0.4249)  1 Si 1.69
O (0.8506, 0.6322, 0.6429)  1 Si 1.62
O (0.8551, 0.6185, 0.9254)  1 P 1.56
O (0.8576, 0.4854, 0.1462)  1 Si 1.63
O (0.9535, 0.2146, 0.8111)  1 P 1.50
O (0.9578, 0.8077, 0.3189)  1 Si 1.59
O (0.9625, 0.8315, 0.5940)  1 Si 1.63
O (0.9677, 0.1766, 0.0952)  1 Si 1.62



| no. | ΔH_f (0 K) (eV/atom) |
| --- | --- |
| 1 | -3.109 |
| 2 | -3.001 |